Record 1
First-principles (PBE) data for a relaxed LiCl crystal, as listed in the Materials Project database.

Cell lengths 3.9249, 3.9249, 6.3572 Å; angles 90.00, 90.00, 120.00 degrees
Sites, in units of the cell vectors:
Cl 0.3333 0.6667 0.9990
Cl 0.6667 0.3333 0.4990
Li 0.3333 0.6667 0.3760
Li 0.6667 0.3333 0.8760

Results
Space-group type = P6_3mc (186)
Largest piezoelectric modulus = 0.7 C/m²
Energy of formation from the pure elements = -2137 meV/atom

***

Record 2
First-principles (PBE) data for a relaxed Li2MgCl4 crystal, as listed in the Materials Project database.

Cell lengths 7.4316, 7.4316, 7.4316 Å; angles 120.18, 119.49, 90.29 degrees
Sites, in units of the cell vectors:
Li 0.5000 0.5000 0.5000
Li 0.5000 0.0000 0.0000
Li 0.8844 0.1344 0.7500
Li 0.1156 0.8656 0.2500
Mg 0.0000 0.5000 0.5000
Mg 0.5000 0.5000 0.0000
Cl 0.7252 0.7378 0.9874
Cl 0.2504 0.7378 0.5126
Cl 0.2748 0.2622 0.0126
Cl 0.7496 0.2622 0.4874
Cl 0.7466 0.2629 0.0163
Cl 0.7466 0.7303 0.4837
Cl 0.2534 0.2697 0.5163
Cl 0.2534 0.7371 0.9837

Results
Space-group type = Imma (74)
Energy of formation from the pure elements = -2185 meV/atom